! Li7Fe4P8O28 PBE+U optimized geometry; values from VASP
&SYSTEM
  ibrav = 0, nat = 94, ntyp = 4
/
ATOMIC_SPECIES
O 16.00 O.upf
Li 6.94 Li.upf
P 30.97 P.upf
Fe 55.84 Fe.upf
ATOMIC_POSITIONS angstrom
O -6.5991 -4.7843 9.0703
O -3.6083 -7.6980 0.0055
O -1.6578 -8.6090 4.8105
O -3.2056 -1.6374 7.5511
O -0.7575 -0.4468 3.1819
O -4.0786 1.2677 6.8286
O -0.8618 0.9039 7.9623
O -0.6337 -7.1291 9.7278
O -9.2678 -6.6162 5.2442
O -9.0557 -3.8440 4.0494
O -2.7212 -0.0147 0.8493
O -4.3799 -5.8478 5.7096
O -8.2046 1.0962 6.0821
O -5.6818 -2.0371 7.6703
O -6.2679 -8.4908 1.5509
O -5.9353 0.8900 8.4301
O -6.3961 -3.8987 6.1485
O -4.1807 -5.4757 3.2222
O -8.4092 -4.8147 10.8559
O -4.1339 -4.0564 7.9127
O -6.9878 -6.6280 6.4662
O -4.3004 -2.2629 9.7246
O -1.6869 -7.6905 1.6938
O -9.0006 -8.4167 2.9302
O -5.7285 -3.4563 2.9799
O -0.8067 -3.6688 6.8432
O -3.2634 -2.7284 1.8223
O -3.5946 0.9780 9.3417
O -0.5947 -0.8966 5.6484
O -5.4825 -1.6649 5.1830
O -9.5719 -5.6555 2.2839
O -2.8747 -0.8847 4.4263
O -1.7333 -6.6208 7.5263
O -8.5355 -3.4661 1.5382
O -4.6682 -6.7599 8.4807
O -6.2541 0.1853 10.8871
O -7.1412 -7.4980 10.0432
O -3.4664 -3.6140 4.7441
O -9.2287 -0.3837 1.1648
O -5.1943 -0.7529 2.4119
O -1.4533 -2.6980 0.0367
O -1.3270 -4.0466 9.3544
O -3.9271 -8.4027 2.4625
O -2.1237 -5.7918 4.6146
O -8.1756 0.1777 9.1988
O -8.8688 -4.0676 8.4434
O -9.1050 -7.0660 7.7106
O -0.2906 -1.8573 8.6087
O -7.7388 -1.7210 6.2780
O -0.9936 -3.4451 2.4492
O -2.2756 -4.9350 0.8760
O -7.5868 -2.5778 10.0166
O -8.1291 -0.8920 3.3663
O -6.6568 -5.8753 3.3414
O -5.7839 -8.7804 4.0640
O -5.5621 -5.2499 1.1679
Li -3.8881 -5.7493 0.3257
Li -5.8237 -7.0341 4.8755
Li -5.9744 -1.7635 10.5669
Li -4.0388 -0.4787 6.0171
Li -7.1459 -0.0377 4.8856
Li -8.8017 -6.7381 10.5724
Li -0.9217 -6.3352 0.4943
Li -8.9407 -1.1776 10.3983
Li -5.8395 -6.0957 10.4301
Li -0.6208 -5.1767 5.7792
Li -9.2416 -2.3361 5.1134
Li -1.0608 -0.7747 0.3202
Li -2.7166 -7.4751 6.0069
Li -4.0229 -1.4171 0.4625
P -9.1852 -0.0244 2.6322
P -1.4842 -0.2208 4.6132
P -0.6773 -7.4883 8.2604
P -6.3646 -2.3781 6.2450
P -5.3750 -9.0935 2.6367
P -0.4569 -3.3774 8.2696
P -5.6186 -4.9801 2.6511
P -6.9495 0.9406 9.7011
P -4.2439 -2.5327 8.2415
P -2.9130 -8.4534 1.1915
P -4.4874 1.5807 8.2558
P -3.4979 -5.1347 4.6476
P -7.8224 -4.0219 9.6493
P -2.0401 -3.4908 1.2433
P -8.3783 -7.2919 6.2793
P -9.4055 -4.1354 2.6230
Fe -5.7035 -5.3203 7.3044
Fe -7.0553 -2.0435 1.9660
Fe -2.8071 -5.4693 8.9266
Fe -9.1497 -0.3718 7.3194
Fe -7.7819 -6.9545 1.9585
Fe -0.7128 -7.1410 3.5732
Fe -2.0806 -0.5583 8.9341
Fe -4.1589 -2.1925 3.5881
CELL_PARAMETERS angstrom
-9.8881 0.0000 0.0000
-0.0014 -9.8952 0.0000
0.0270 2.3825 10.8926
! symmetry	P-1 (2)
! energy relative to the elements	-2.547	eV/atom